(1)
# Ba5Hf2N6

A relaxed structure of Ba5Hf2N6 (PBE, Materials Project).

Properties
**Space-group type**: C2/c, No. 15
**Uncorrected energy**: -7.031 eV/atom
**Energy of formation**: -1.081 eV per atom
**Volume**: 24.090 Å³/atom

Cell lengths 6.761, 7.476, 14.964 Å; angles 90.00, 95.29, 123.57 degrees
Positions (direct):
N 0.602 0.203 0.556
N 0.121 0.040 0.379
N 0.291 0.745 0.662
N 0.398 0.601 0.944
N 0.879 0.960 0.621
N 0.602 0.399 0.056
N 0.291 0.546 0.162
N 0.709 0.454 0.838
N 0.398 0.797 0.444
N 0.709 0.255 0.338
N 0.879 0.919 0.121
N 0.121 0.081 0.879
Ba 0.310 0.106 0.706
Ba 0.690 0.894 0.294
Ba 0.922 0.230 0.021
Ba 0.310 0.204 0.206
Ba 0.078 0.309 0.479
Ba 0.922 0.691 0.521
Ba 0.000 0.408 0.750
Ba 0.690 0.796 0.794
Ba 0.000 0.592 0.250
Ba 0.078 0.770 0.979
Hf 0.449 0.097 0.423
Hf 0.551 0.903 0.577
Hf 0.551 0.648 0.077
Hf 0.449 0.352 0.923

***

(2)
# K9Fe2Se7

A relaxed structure of K9Fe2Se7 (PBE, Materials Project).

Properties
**Space-group type**: P2_13, No. 198
**Uncorrected energy**: -3.736 eV/atom
**Energy of formation**: -1.064 eV per atom
**Volume**: 32.343 Å³/atom

Cell lengths 13.255, 13.255, 13.255 Å; angles 90.00, 90.00, 90.00 degrees
Positions (direct):
K 0.260 0.760 0.740
K 0.542 0.706 0.820
K 0.497 0.698 0.332
K 0.680 0.458 0.206
K 0.417 0.417 0.417
K 0.943 0.557 0.443
K 0.206 0.680 0.458
K 0.698 0.332 0.497
K 0.958 0.294 0.320
K 0.083 0.583 0.917
K 0.240 0.240 0.240
K 0.042 0.794 0.180
K 0.443 0.943 0.557
K 0.294 0.320 0.958
K 0.668 0.997 0.802
K 0.180 0.042 0.794
K 0.557 0.443 0.943
K 0.320 0.958 0.294
K 0.057 0.057 0.057
K 0.917 0.083 0.583
K 0.003 0.302 0.832
K 0.583 0.917 0.083
K 0.820 0.542 0.706
K 0.760 0.740 0.260
K 0.706 0.820 0.542
K 0.997 0.802 0.668
K 0.802 0.668 0.997
K 0.458 0.206 0.680
K 0.794 0.180 0.042
K 0.168 0.503 0.198
K 0.198 0.168 0.503
K 0.302 0.832 0.003
K 0.332 0.497 0.698
K 0.740 0.260 0.760
K 0.832 0.003 0.302
K 0.503 0.198 0.168
Se 0.569 0.668 0.086
Se 0.291 0.709 0.209
Se 0.168 0.414 0.431
Se 0.575 0.438 0.690
Se 0.431 0.168 0.414
Se 0.709 0.209 0.291
Se 0.690 0.575 0.438
Se 0.914 0.069 0.832
Se 0.810 0.425 0.938
Se 0.332 0.586 0.931
Se 0.562 0.190 0.925
Se 0.062 0.310 0.075
Se 0.086 0.569 0.668
Se 0.931 0.332 0.586
Se 0.438 0.690 0.575
Se 0.414 0.431 0.168
Se 0.832 0.914 0.069
Se 0.310 0.075 0.062
Se 0.668 0.086 0.569
Se 0.069 0.832 0.914
Se 0.425 0.938 0.810
Se 0.209 0.291 0.709
Se 0.791 0.791 0.791
Se 0.938 0.810 0.425
Se 0.075 0.062 0.310
Se 0.190 0.925 0.562
Se 0.925 0.562 0.190
Se 0.586 0.931 0.332
Fe 0.430 0.070 0.930
Fe 0.070 0.930 0.430
Fe 0.900 0.900 0.900
Fe 0.930 0.430 0.070
Fe 0.100 0.400 0.600
Fe 0.600 0.100 0.400
Fe 0.400 0.600 0.100
Fe 0.570 0.570 0.570

***

(3)
# BaGa3Sn

A relaxed structure of BaGa3Sn (PBE, Materials Project).

Properties
**Space-group type**: I4mm, No. 107
**Uncorrected energy**: -3.410 eV/atom
**Energy of formation**: -0.408 eV per atom
**Volume**: 25.818 Å³/atom

Cell lengths 6.408, 6.408, 6.408 Å; angles 135.12, 135.12, 65.35 degrees
Positions (direct):
Sn 0.622 0.622 0.000
Ga 0.363 0.363 0.000
Ga 0.759 0.259 0.500
Ga 0.259 0.759 0.500
Ba 0.998 0.998 0.000

***

(4)
# Li3MnN2

A relaxed structure of Li3MnN2 (PBE, Materials Project).

Properties
**Space-group type**: I4_1/amd, No. 141
**Uncorrected energy**: -5.603 eV/atom
**Distance to the lowest polymorph of the same formula**: 0.083 eV per atom
**Energy of formation**: -0.463 eV per atom
**Volume**: 10.860 Å³/atom

Cell lengths 7.248, 7.029, 10.550 Å; angles 90.00, 136.70, 119.01 degrees
Positions (direct):
Li 0.478 0.978 0.989
Li 0.000 0.000 0.865
Li 0.522 0.522 0.261
Li 0.000 0.500 0.115
Li 0.522 0.000 0.261
Li 0.000 0.500 0.385
Li 0.478 0.478 0.739
Li 0.522 0.500 0.511
Li 0.000 0.000 0.135
Li 0.478 0.000 0.739
Li 0.522 0.022 0.511
Li 0.478 0.500 0.989
Mn 0.000 0.000 0.391
Mn 0.000 0.500 0.859
Mn 0.000 0.000 0.609
Mn 0.000 0.500 0.641
N 0.000 0.283 0.925
N 0.434 0.717 0.792
N 0.000 0.717 0.925
N 0.000 0.783 0.325
N 0.566 0.783 0.458
N 0.566 0.283 0.358
N 0.434 0.217 0.892
N 0.000 0.217 0.325

***

(5)
# Sc5Si3N9

A relaxed structure of Sc5Si3N9 (PBE, Materials Project).

Properties
**Space-group type**: Cmce, No. 64
**Uncorrected energy**: -8.534 eV/atom
**Energy of formation**: -1.491 eV per atom
**Volume**: 11.674 Å³/atom

Cell lengths 7.358, 10.533, 14.666 Å; angles 90.00, 90.00, 135.70 degrees
Positions (direct):
N 0.000 0.187 0.381
N 0.000 0.863 0.434
N 0.541 0.230 0.851
N 0.000 0.636 0.304
N 0.260 0.491 0.500
N 0.740 0.731 0.000
N 0.000 0.637 0.934
N 0.260 0.991 0.000
N 0.541 0.730 0.649
N 0.000 0.813 0.619
N 0.748 0.727 0.242
N 0.260 0.269 0.000
N 0.748 0.021 0.758
N 0.000 0.364 0.696
N 0.000 0.864 0.804
N 0.000 0.313 0.881
N 0.459 0.270 0.351
N 0.459 0.190 0.649
N 0.740 0.231 0.500
N 0.000 0.137 0.566
N 0.252 0.273 0.758
N 0.748 0.227 0.258
N 0.748 0.521 0.742
N 0.000 0.687 0.119
N 0.459 0.690 0.851
N 0.000 0.363 0.066
N 0.541 0.310 0.149
N 0.000 0.136 0.196
N 0.260 0.769 0.500
N 0.740 0.009 0.000
N 0.541 0.810 0.351
N 0.740 0.509 0.500
N 0.252 0.479 0.258
N 0.252 0.773 0.742
N 0.459 0.770 0.149
N 0.252 0.979 0.242
Si 0.000 0.746 0.722
Si 0.000 0.246 0.778
Si 0.000 0.753 0.015
Si 0.000 0.247 0.985
Si 0.000 0.254 0.278
Si 0.500 0.709 0.250
Si 0.000 0.754 0.222
Si 0.500 0.209 0.250
Si 0.000 0.747 0.515
Si 0.000 0.253 0.485
Si 0.500 0.791 0.750
Si 0.500 0.291 0.750
Sc 0.371 0.407 0.134
Sc 0.629 0.593 0.866
Sc 0.000 0.493 0.168
Sc 0.629 0.536 0.366
Sc 0.000 0.993 0.332
Sc 0.629 0.093 0.634
Sc 0.000 0.507 0.832
Sc 0.000 0.010 0.897
Sc 0.000 0.990 0.103
Sc 0.445 0.722 0.000
Sc 0.000 0.007 0.668
Sc 0.371 0.907 0.366
Sc 0.000 0.490 0.397
Sc 0.629 0.036 0.134
Sc 0.555 0.278 0.000
Sc 0.371 0.464 0.634
Sc 0.000 0.510 0.603
Sc 0.371 0.964 0.866
Sc 0.555 0.778 0.500
Sc 0.445 0.222 0.500

***

(6)
# Rb3LaCl6

A relaxed structure of Rb3LaCl6 (PBE, Materials Project).

Properties
**Space-group type**: Fm-3m, No. 225
**Uncorrected energy**: -3.983 eV/atom
**Energy of formation**: -2.455 eV per atom
**Volume**: 41.094 Å³/atom

Cell lengths 8.345, 8.345, 8.345 Å; angles 60.00, 60.00, 60.00 degrees
Positions (direct):
Cl 0.765 0.765 0.235
Cl 0.765 0.235 0.235
Cl 0.235 0.765 0.765
Cl 0.235 0.765 0.235
Cl 0.765 0.235 0.765
Cl 0.235 0.235 0.765
Rb 0.500 0.500 0.500
Rb 0.750 0.750 0.750
Rb 0.250 0.250 0.250
La 0.000 0.000 0.000

***

(7)
# RbNp3

A relaxed structure of RbNp3 (PBE, Materials Project).

Properties
**Space-group type**: I4/mmm, No. 139
**Uncorrected energy**: -8.331 eV/atom
**Distance to the lowest polymorph of the same formula**: 0.000 eV per atom
**Energy of formation**: 1.625 eV per atom
**Volume**: 30.011 Å³/atom

Cell lengths 6.218, 6.218, 6.218 Å; angles 134.59, 134.59, 66.17 degrees
Positions (direct):
Rb 0.000 0.000 0.000
Np 0.750 0.250 0.500
Np 0.500 0.500 0.000
Np 0.250 0.750 0.500

***

(8)
# PrEuCuS3

A relaxed structure of PrEuCuS3 (PBE, Materials Project).

Properties
**Space-group type**: Pnma, No. 62
**Uncorrected energy**: -6.908 eV/atom
**Energy of formation**: -1.901 eV per atom
**Volume**: 21.719 Å³/atom

Cell lengths 4.072, 11.129, 11.503 Å; angles 90.00, 90.00, 90.00 degrees
Positions (direct):
S 0.250 0.050 0.363
S 0.750 0.616 0.557
S 0.250 0.884 0.057
S 0.250 0.222 0.692
S 0.250 0.722 0.808
S 0.750 0.278 0.192
S 0.750 0.116 0.943
S 0.250 0.384 0.443
S 0.750 0.950 0.637
S 0.750 0.450 0.863
S 0.750 0.778 0.308
S 0.250 0.550 0.137
Cu 0.250 0.744 0.214
Cu 0.750 0.756 0.714
Cu 0.750 0.256 0.786
Cu 0.250 0.244 0.286
Eu 0.250 0.318 0.005
Eu 0.750 0.682 0.995
Eu 0.750 0.182 0.505
Eu 0.250 0.818 0.495
Pr 0.250 0.988 0.817
Pr 0.750 0.512 0.317
Pr 0.750 0.012 0.183
Pr 0.250 0.488 0.683

***

(9)
# Th3Os2Ru4

A relaxed structure of Th3Os2Ru4 (PBE, Materials Project).

Properties
**Space-group type**: P-1, No. 2
**Uncorrected energy**: -9.393 eV/atom
**Energy of formation**: -0.305 eV per atom
**Volume**: 19.032 Å³/atom

Cell lengths 5.353, 5.434, 13.343 Å; angles 89.11, 89.25, 61.98 degrees
Positions (direct):
Os 0.834 0.833 0.666
Os 0.500 0.500 0.000
Os 0.166 0.167 0.334
Os 0.000 0.500 0.000
Ru 0.500 0.000 0.000
Ru 0.000 0.000 0.500
Ru 0.833 0.333 0.667
Ru 0.334 0.833 0.667
Ru 0.668 0.666 0.833
Ru 0.167 0.667 0.333
Ru 0.332 0.334 0.167
Ru 0.666 0.167 0.333
Th 0.334 0.334 0.791
Th 0.333 0.332 0.541
Th 0.667 0.668 0.459
Th 0.000 0.001 0.126
Th 0.666 0.666 0.209
Th 0.000 0.999 0.874

***

(10)
# Zr3Fe2Si3

A relaxed structure of Zr3Fe2Si3 (PBE, Materials Project).

Properties
**Space-group type**: Cmcm, No. 63
**Uncorrected energy**: -8.146 eV/atom
**Energy of formation**: -0.761 eV per atom
**Volume**: 15.807 Å³/atom

Cell lengths 5.403, 5.403, 12.977 Å; angles 90.00, 90.00, 138.12 degrees
Positions (direct):
Si 0.386 0.614 0.541
Si 0.386 0.614 0.959
Si 0.614 0.386 0.459
Si 0.667 0.333 0.750
Si 0.614 0.386 0.041
Si 0.333 0.667 0.250
Fe 0.220 0.780 0.419
Fe 0.220 0.780 0.081
Fe 0.780 0.220 0.581
Fe 0.780 0.220 0.919
Zr 0.923 0.077 0.114
Zr 0.364 0.636 0.750
Zr 0.636 0.364 0.250
Zr 0.077 0.923 0.886
Zr 0.077 0.923 0.614
Zr 0.923 0.077 0.386

***

(11)
# YBi3Se2ClO8

A relaxed structure of YBi3Se2ClO8 (PBE, Materials Project).

Properties
**Space-group type**: Pmmn, No. 59
**Uncorrected energy**: -5.651 eV/atom
**Energy of formation**: -1.580 eV per atom
**Volume**: 19.603 Å³/atom

Cell lengths 7.726, 7.762, 9.806 Å; angles 90.00, 90.00, 90.00 degrees
Positions (direct):
O 0.613 0.000 0.852
O 0.214 0.822 0.344
O 0.786 0.322 0.156
O 0.387 0.500 0.352
O 0.066 0.000 0.140
O 0.786 0.322 0.844
O 0.387 0.500 0.648
O 0.214 0.178 0.344
O 0.934 0.500 0.360
O 0.934 0.500 0.640
O 0.613 0.000 0.148
O 0.786 0.678 0.156
O 0.214 0.178 0.656
O 0.214 0.822 0.656
O 0.066 0.000 0.860
O 0.786 0.678 0.844
Cl 0.420 0.500 0.000
Cl 0.580 0.000 0.500
Bi 0.500 0.250 0.750
Bi 0.500 0.250 0.250
Bi 0.500 0.750 0.250
Bi 0.500 0.750 0.750
Bi 0.644 0.500 0.500
Bi 0.356 0.000 0.000
Se 0.083 0.000 0.682
Se 0.083 0.000 0.318
Se 0.917 0.500 0.818
Se 0.917 0.500 0.182
Y 0.828 0.000 0.000
Y 0.172 0.500 0.500

***

(12)
# CaFe2S4

A relaxed structure of CaFe2S4 (PBE, Materials Project).

Properties
**Space-group type**: I4_1/amd, No. 141
**Uncorrected energy**: -5.766 eV/atom
**Distance to the lowest polymorph of the same formula**: 0.018 eV per atom
**Energy of formation**: -0.984 eV per atom
**Volume**: 18.899 Å³/atom

Cell lengths 7.260, 7.260, 7.260 Å; angles 121.40, 121.40, 87.59 degrees
Positions (direct):
Fe 0.375 0.125 0.250
Fe 0.875 0.625 0.750
Fe 0.875 0.125 0.750
Fe 0.875 0.125 0.250
S 0.096 0.307 0.211
S 0.635 0.346 0.289
S 0.693 0.904 0.789
S 0.654 0.943 0.289
S 0.096 0.885 0.789
S 0.654 0.365 0.711
S 0.115 0.904 0.211
S 0.057 0.346 0.711
Ca 0.250 0.750 0.500
Ca 0.500 0.500 0.000

***

(13)
# CePNO4F2

A relaxed structure of CePNO4F2 (PBE, Materials Project).

Properties
**Space-group type**: P2_1/m, No. 11
**Uncorrected energy**: -6.594 eV/atom
**Energy of formation**: -2.191 eV per atom
**Volume**: 14.988 Å³/atom

Cell lengths 5.893, 6.745, 7.385 Å; angles 113.19, 90.00, 90.00 degrees
Positions (direct):
O 0.750 0.101 0.131
O 0.964 0.239 0.910
O 0.036 0.761 0.090
O 0.250 0.899 0.869
O 0.750 0.498 0.205
O 0.536 0.239 0.910
O 0.464 0.761 0.090
O 0.250 0.502 0.795
N 0.750 0.562 0.680
N 0.250 0.438 0.320
Ce 0.250 0.118 0.684
Ce 0.750 0.882 0.316
F 0.001 0.166 0.466
F 0.999 0.834 0.534
F 0.501 0.834 0.534
F 0.499 0.166 0.466
P 0.250 0.730 0.960
P 0.750 0.270 0.040